Here is an optimized crystal structure of K2CoP4O12 from Materials Project. Energies are from GGA+U.

```
K2CoP4O12
1.0
5.636 -6.373 0.000
5.636 6.373 0.000
-1.721 0.000 7.583
K Co P O
4 2 8 24
direct
0.126 0.874 0.500
0.570 0.838 0.336
0.838 0.570 0.836
0.874 0.126 0.000
0.214 0.521 0.170
0.521 0.214 0.670
0.185 0.337 0.755
0.195 0.872 0.994
0.337 0.185 0.255
0.403 0.556 0.600
0.500 0.874 0.839
0.556 0.403 0.100
0.872 0.195 0.494
0.874 0.500 0.339
0.027 0.858 0.899
0.057 0.247 0.586
0.098 0.385 0.906
0.229 0.311 0.273
0.237 0.765 0.127
0.247 0.057 0.086
0.251 0.501 0.691
0.308 0.859 0.842
0.311 0.229 0.773
0.340 0.636 0.448
0.385 0.098 0.406
0.427 0.506 0.075
0.501 0.251 0.191
0.506 0.427 0.575
0.514 0.691 0.753
0.534 0.980 0.705
0.600 0.910 0.018
0.636 0.340 0.948
0.691 0.514 0.253
0.765 0.237 0.627
0.858 0.027 0.399
0.859 0.308 0.342
0.910 0.600 0.518
0.980 0.534 0.205
```

Results
**M_tot**: 0.0526 μB per atom
**V**: 544.7 Å³ per cell
**Calculated formation energy**: -2.505 eV/atom